one | # PBE with a Hubbard U Li5Fe8B8O24, optimized geometry
# Symmetry = P1
# Crystal system = triclinic
# Density = 3.26 g/cm³
data_Li5Fe8B8O24
_cell_length_a 5.2579
_cell_length_b 9.1015
_cell_length_c 11.3447
_cell_angle_alpha 67.05
_cell_angle_beta 77.07
_cell_angle_gamma 89.60
_space_group_name_H-M_alt 'P 1'
_space_group_IT_number 1
_space_group_name_Hall 'P 1'
loop_
_atom_site_label
_atom_site_type_symbol
_atom_site_fract_x
_atom_site_fract_y
_atom_site_fract_z
_atom_site_occupancy
Li1 Li 0.0000 0.0000 0.0000 1
Li2 Li 0.0412 0.0260 0.2628 1
Li3 Li 0.2703 0.2965 0.7463 1
Li4 Li 0.4967 0.4955 0.0159 1
Li5 Li 0.7596 0.7910 0.7573 1
Fe1 Fe 0.0488 0.3834 0.2315 1
Fe2 Fe 0.2575 0.5998 0.4687 1
Fe3 Fe 0.2811 0.9769 0.7239 1
Fe4 Fe 0.4943 0.1768 0.9851 1
Fe5 Fe 0.5606 0.8690 0.2291 1
Fe6 Fe 0.7535 0.1052 0.4740 1
Fe7 Fe 0.7854 0.4676 0.7288 1
Fe8 Fe 0.9975 0.6851 0.9816 1
B1 B 0.0076 0.3520 0.9697 1
B2 B 0.0520 0.7228 0.2230 1
B3 B 0.2615 0.9310 0.4750 1
B4 B 0.2847 0.6358 0.7279 1
B5 B 0.5069 0.8500 0.9701 1
B6 B 0.5409 0.2121 0.2270 1
B7 B 0.7494 0.4269 0.4847 1
B8 B 0.7937 0.1430 0.7254 1
O1 O 0.0127 0.9612 0.4569 1
O2 O 0.0442 0.1414 0.7392 1
O3 O 0.1115 0.4548 0.0121 1
O4 O 0.1306 0.2207 0.9614 1
O5 O 0.1357 0.7469 0.7588 1
O6 O 0.1667 0.5247 0.6922 1
O7 O 0.2649 0.8779 0.9380 1
O8 O 0.2706 0.6902 0.2788 1
O9 O 0.3864 0.8092 0.4472 1
O10 O 0.3913 0.0242 0.5196 1
O11 O 0.4299 0.3521 0.2073 1
O12 O 0.4341 0.0959 0.1944 1
O13 O 0.4891 0.4400 0.4923 1
O14 O 0.5450 0.6256 0.7334 1
O15 O 0.6209 0.9522 0.0126 1
O16 O 0.6317 0.2539 0.7581 1
O17 O 0.6348 0.7227 0.9542 1
O18 O 0.6903 0.0362 0.6825 1
O19 O 0.7661 0.3809 0.9290 1
O20 O 0.7746 0.1821 0.2731 1
O21 O 0.8833 0.3193 0.4410 1
O22 O 0.8870 0.5187 0.5305 1
O23 O 0.9472 0.8688 0.2039 1
O24 O 0.9534 0.6143 0.1853 1

---

two | # PBE with a Hubbard U Li5Fe8B8O24, optimized geometry
# Symmetry = P1
# Crystal system = triclinic
# Density = 3.31 g/cm³
data_Li5Fe8B8O24
_cell_length_a 5.3033
_cell_length_b 9.0290
_cell_length_c 11.1837
_cell_angle_alpha 66.25
_cell_angle_beta 78.20
_cell_angle_gamma 89.63
_space_group_name_H-M_alt 'P 1'
_space_group_IT_number 1
_space_group_name_Hall 'P 1'
loop_
_atom_site_label
_atom_site_type_symbol
_atom_site_fract_x
_atom_site_fract_y
_atom_site_fract_z
_atom_site_occupancy
Li1 Li 0.0000 0.0000 0.0000 1
Li2 Li 0.0699 0.3846 0.2646 1
Li3 Li 0.3191 0.6329 0.7388 1
Li4 Li 0.5068 0.4940 0.0021 1
Li5 Li 0.7474 0.7618 0.5069 1
Fe1 Fe 0.0140 0.6827 0.9674 1
Fe2 Fe 0.0759 0.0653 0.2255 1
Fe3 Fe 0.2612 0.5996 0.4763 1
Fe4 Fe 0.3138 0.9922 0.7156 1
Fe5 Fe 0.5189 0.1801 0.9744 1
Fe6 Fe 0.5759 0.5716 0.2229 1
Fe7 Fe 0.7678 0.1174 0.4802 1
Fe8 Fe 0.8274 0.4635 0.7283 1
B1 B 0.0238 0.3500 0.9777 1
B2 B 0.0750 0.7333 0.2145 1
B3 B 0.2736 0.9359 0.4728 1
B4 B 0.3193 0.3151 0.7268 1
B5 B 0.5187 0.8523 0.9724 1
B6 B 0.5691 0.2326 0.2207 1
B7 B 0.7854 0.4485 0.4655 1
B8 B 0.8096 0.8173 0.7193 1
O1 O 0.0407 0.9647 0.4213 1
O2 O 0.0524 0.8076 0.7555 1
O3 O 0.1128 0.1923 0.0300 1
O4 O 0.1778 0.4836 0.9580 1
O5 O 0.1968 0.1858 0.7203 1
O6 O 0.2189 0.4663 0.6870 1
O7 O 0.2863 0.8748 0.9264 1
O8 O 0.2927 0.6905 0.2641 1
O9 O 0.3631 0.0473 0.5150 1
O10 O 0.3974 0.8008 0.4850 1
O11 O 0.4482 0.1181 0.1926 1
O12 O 0.4535 0.3767 0.2064 1
O13 O 0.5395 0.2980 0.7775 1
O14 O 0.5594 0.4805 0.4163 1
O15 O 0.6052 0.6925 0.0164 1
O16 O 0.6571 0.9727 0.9781 1
O17 O 0.6915 0.9623 0.6886 1
O18 O 0.6955 0.6873 0.7112 1
O19 O 0.7862 0.3682 0.9424 1
O20 O 0.8082 0.2084 0.2572 1
O21 O 0.8624 0.5503 0.5199 1
O22 O 0.9291 0.3286 0.4513 1
O23 O 0.9565 0.6189 0.1807 1
O24 O 0.9780 0.8787 0.1974 1

---

Question: which arrangement is favored energetically? Ranking from most to least stable: one, two.

---

one | # PBE with a Hubbard U MgV3CoSn2P6O24, optimized geometry
# Symmetry = P1
# Crystal system = triclinic
# Density = 3.36 g/cm³
data_MgV3CoSn2P6O24
_cell_length_a 8.7104
_cell_length_b 8.7186
_cell_length_c 9.2827
_cell_angle_alpha 90.05
_cell_angle_beta 117.77
_cell_angle_gamma 119.94
_space_group_name_H-M_alt 'P 1'
_space_group_IT_number 1
_space_group_name_Hall 'P 1'
loop_
_atom_site_label
_atom_site_type_symbol
_atom_site_fract_x
_atom_site_fract_y
_atom_site_fract_z
_atom_site_occupancy
Mg1 Mg 0.0000 0.0000 0.0000 1
V1 V 0.2229 0.1122 0.3398 1
V2 V 0.7626 0.8860 0.6552 1
V3 V 0.8143 0.4122 0.2271 1
Co1 Co 0.1886 0.5927 0.7857 1
Sn1 Sn 0.4604 0.7341 0.1918 1
Sn2 Sn 0.5344 0.2720 0.8031 1
P1 P 0.0074 0.7938 0.5096 1
P2 P 0.2905 0.5036 0.5058 1
P3 P 0.2986 0.2960 0.0059 1
P4 P 0.7085 0.0073 0.0032 1
P5 P 0.7117 0.2155 0.5061 1
P6 P 0.9973 0.7046 0.0073 1
O1 O 0.0796 0.4587 0.3392 1
O2 O 0.1029 0.1233 0.8481 1
O3 O 0.1197 0.8750 0.1626 1
O4 O 0.1286 0.9813 0.4809 1
O5 O 0.1543 0.6856 0.9882 1
O6 O 0.1643 0.7752 0.6592 1
O7 O 0.2853 0.2443 0.1616 1
O8 O 0.2846 0.5072 0.6661 1
O9 O 0.2989 0.4721 0.9904 1
O10 O 0.3254 0.3550 0.4725 1
O11 O 0.4627 0.6925 0.5119 1
O12 O 0.4997 0.1555 0.4811 1
O13 O 0.5029 0.3296 0.0275 1
O14 O 0.5148 0.8319 0.9854 1
O15 O 0.6979 0.1785 0.0246 1
O16 O 0.7035 0.2560 0.3351 1
O17 O 0.7278 0.9854 0.8461 1
O18 O 0.7308 0.0484 0.5122 1
O19 O 0.8384 0.7845 0.5322 1
O20 O 0.8494 0.5235 0.0313 1
O21 O 0.8601 0.7419 0.8504 1
O22 O 0.8755 0.6323 0.3359 1
O23 O 0.8861 0.3840 0.6622 1
O24 O 0.9126 0.0417 0.1587 1

---

two | # PBE with a Hubbard U MgV3CoSn2P6O24, optimized geometry
# Symmetry = P1
# Crystal system = triclinic
# Density = 3.53 g/cm³
data_MgV3CoSn2P6O24
_cell_length_a 8.4590
_cell_length_b 8.5852
_cell_length_c 9.1870
_cell_angle_alpha 62.19
_cell_angle_beta 62.82
_cell_angle_gamma 60.50
_space_group_name_H-M_alt 'P 1'
_space_group_IT_number 1
_space_group_name_Hall 'P 1'
loop_
_atom_site_label
_atom_site_type_symbol
_atom_site_fract_x
_atom_site_fract_y
_atom_site_fract_z
_atom_site_occupancy
Mg1 Mg 0.0000 0.0000 0.0000 1
V1 V 0.1826 0.9127 0.2961 1
V2 V 0.4564 0.2364 0.4082 1
V3 V 0.6724 0.4256 0.7890 1
Co1 Co 0.9916 0.7120 0.8714 1
Sn1 Sn 0.4621 0.0617 0.8173 1
Sn2 Sn 0.8402 0.5806 0.2932 1
P1 P 0.0746 0.1123 0.6027 1
P2 P 0.2839 0.6038 0.1051 1
P3 P 0.3670 0.5309 0.5976 1
P4 P 0.5685 0.0456 0.1056 1
P5 P 0.7868 0.8258 0.5895 1
P6 P 0.8543 0.3150 0.1060 1
O1 O 0.0433 0.1505 0.1297 1
O2 O 0.0748 0.9500 0.7788 1
O3 O 0.1126 0.0544 0.4541 1
O4 O 0.1130 0.5961 0.0835 1
O5 O 0.1902 0.5320 0.7530 1
O6 O 0.2166 0.8121 0.1006 1
O7 O 0.2400 0.1776 0.5617 1
O8 O 0.3011 0.4767 0.2868 1
O9 O 0.3367 0.6768 0.4266 1
O10 O 0.4435 0.9426 0.1393 1
O11 O 0.4513 0.3280 0.5755 1
O12 O 0.4662 0.5594 0.9609 1
O13 O 0.4895 0.1389 0.2416 1
O14 O 0.5213 0.5485 0.6281 1
O15 O 0.5783 0.1892 0.9198 1
O16 O 0.5947 0.9804 0.5542 1
O17 O 0.6891 0.2856 0.2726 1
O18 O 0.7779 0.8989 0.1053 1
O19 O 0.7863 0.6285 0.6489 1
O20 O 0.7889 0.8673 0.7395 1
O21 O 0.8353 0.2873 0.9585 1
O22 O 0.8559 0.5107 0.0664 1
O23 O 0.8867 0.2795 0.6257 1
O24 O 0.9495 0.8513 0.4226 1

---

Question: which arrangement is favored energetically? Ranking from most to least stable: two, one.

---

one | # PBE with a Hubbard U Li2CrFeO4, optimized geometry
# Symmetry = P-1
# Crystal system = triclinic
# Density = 4.13 g/cm³
data_Li2CrFeO4
_cell_length_a 5.1643
_cell_length_b 5.9524
_cell_length_c 7.8709
_cell_angle_alpha 79.12
_cell_angle_beta 77.33
_cell_angle_gamma 73.34
_space_group_name_H-M_alt 'P 1'
_space_group_IT_number 1
_space_group_name_Hall 'P 1'
loop_
_atom_site_label
_atom_site_type_symbol
_atom_site_fract_x
_atom_site_fract_y
_atom_site_fract_z
_atom_site_occupancy
Li1 Li 0.0000 0.0000 0.0000 1
Li2 Li 0.0000 0.5000 0.0000 1
Li3 Li 0.0018 0.1646 0.3335 1
Li4 Li 0.0019 0.3308 0.6677 1
Li5 Li 0.9981 0.6692 0.3323 1
Li6 Li 0.9982 0.8354 0.6665 1
Cr1 Cr 0.4992 0.1654 0.8332 1
Cr2 Cr 0.5000 0.0000 0.5000 1
Cr3 Cr 0.5008 0.8346 0.1668 1
Fe1 Fe 0.4995 0.3347 0.1664 1
Fe2 Fe 0.5000 0.5000 0.5000 1
Fe3 Fe 0.5005 0.6653 0.8336 1
O1 O 0.2705 0.4934 0.7494 1
O2 O 0.2709 0.3272 0.4150 1
O3 O 0.2734 0.1604 0.0802 1
O4 O 0.2725 0.6635 0.0823 1
O5 O 0.2744 0.9939 0.7466 1
O6 O 0.2750 0.8282 0.4139 1
O7 O 0.7250 0.1718 0.5861 1
O8 O 0.7256 0.0061 0.2534 1
O9 O 0.7275 0.3365 0.9177 1
O10 O 0.7266 0.8396 0.9198 1
O11 O 0.7291 0.6728 0.5850 1
O12 O 0.7295 0.5066 0.2506 1

---

two | # PBE with a Hubbard U Li2CrFeO4, optimized geometry
# Symmetry = C2/m
# Crystal system = monoclinic
# Density = 4.12 g/cm³
data_Li2CrFeO4
_cell_length_a 9.9103
_cell_length_b 9.9103
_cell_length_c 5.1594
_cell_angle_alpha 95.38
_cell_angle_beta 95.38
_cell_angle_gamma 17.25
_space_group_name_H-M_alt 'P 1'
_space_group_IT_number 1
_space_group_name_Hall 'P 1'
loop_
_atom_site_label
_atom_site_type_symbol
_atom_site_fract_x
_atom_site_fract_y
_atom_site_fract_z
_atom_site_occupancy
Li1 Li 0.0000 0.0000 0.0000 1
Li2 Li 0.2489 0.2489 0.7444 1
Li3 Li 0.5000 0.5000 0.5000 1
Li4 Li 0.7511 0.7511 0.2556 1
Cr1 Cr 0.3742 0.3742 0.1260 1
Cr2 Cr 0.6258 0.6258 0.8740 1
Fe1 Fe 0.1257 0.1257 0.3739 1
Fe2 Fe 0.8743 0.8743 0.6261 1
O1 O 0.0679 0.0679 0.6874 1
O2 O 0.1802 0.1802 0.0583 1
O3 O 0.3186 0.3186 0.4380 1
O4 O 0.4315 0.4315 0.8152 1
O5 O 0.5685 0.5685 0.1848 1
O6 O 0.6814 0.6814 0.5620 1
O7 O 0.8198 0.8198 0.9417 1
O8 O 0.9321 0.9321 0.3126 1

---

Question: which arrangement is favored energetically? Ranking from most to least stable: one, two.

---

one | # PBE with a Hubbard U Na2MgV2Cd2O8, optimized geometry
# Symmetry = Amm2
# Crystal system = orthorhombic
# Density = 3.95 g/cm³
data_Na2MgV2Cd2O8
_cell_length_a 6.8806
_cell_length_b 6.0828
_cell_length_c 6.0828
_cell_angle_alpha 60.15
_cell_angle_beta 90.00
_cell_angle_gamma 90.00
_space_group_name_H-M_alt 'P 1'
_space_group_IT_number 1
_space_group_name_Hall 'P 1'
loop_
_atom_site_label
_atom_site_type_symbol
_atom_site_fract_x
_atom_site_fract_y
_atom_site_fract_z
_atom_site_occupancy
Na1 Na 0.2180 0.0000 0.0000 1
Na2 Na 0.7820 0.0000 0.0000 1
Mg1 Mg 0.5000 0.8064 0.8064 1
V1 V 0.0000 0.3264 0.3264 1
V2 V 0.5000 0.5371 0.5371 1
Cd1 Cd 0.0000 0.6372 0.6372 1
Cd2 Cd 0.5000 0.2658 0.2658 1
O1 O 0.0000 0.2011 0.6533 1
O2 O 0.0000 0.6533 0.2011 1
O3 O 0.1978 0.2194 0.2194 1
O4 O 0.3024 0.6690 0.6690 1
O5 O 0.5000 0.1724 0.6852 1
O6 O 0.5000 0.6852 0.1724 1
O7 O 0.6976 0.6690 0.6690 1
O8 O 0.8022 0.2194 0.2194 1

---

two | # PBE with a Hubbard U Na2MgV2Cd2O8, optimized geometry
# Symmetry = P1
# Crystal system = triclinic
# Density = 3.69 g/cm³
data_Na2MgV2Cd2O8
_cell_length_a 6.1947
_cell_length_b 6.3021
_cell_length_c 6.9593
_cell_angle_alpha 99.04
_cell_angle_beta 92.81
_cell_angle_gamma 117.32
_space_group_name_H-M_alt 'P 1'
_space_group_IT_number 1
_space_group_name_Hall 'P 1'
loop_
_atom_site_label
_atom_site_type_symbol
_atom_site_fract_x
_atom_site_fract_y
_atom_site_fract_z
_atom_site_occupancy
Na1 Na 0.0000 0.0000 0.0000 1
Na2 Na 0.1001 0.1181 0.5175 1
Mg1 Mg 0.4490 0.5189 0.9432 1
V1 V 0.4570 0.8845 0.7401 1
V2 V 0.9887 0.5538 0.1690 1
Cd1 Cd 0.5396 0.0281 0.2790 1
Cd2 Cd 0.9095 0.4739 0.6753 1
O1 O 0.1415 0.8801 0.2551 1
O2 O 0.1780 0.4148 0.1036 1
O3 O 0.2268 0.9719 0.7602 1
O4 O 0.3003 0.5353 0.6853 1
O5 O 0.5944 0.8850 0.9895 1
O6 O 0.6910 0.0251 0.5858 1
O7 O 0.7651 0.5045 0.9524 1
O8 O 0.8055 0.4164 0.3597 1

---

Question: which arrangement is favored energetically? Ranking from most to least stable: two, one.